This record from the Materials Project describes Ho6Ga21Co7 after structural relaxation. The functional is PBE.

- SG: P4/mbm
- Energy relative to the elements: -0.4842 eV/atom

Structure (POSCAR):
```
Ho6Ga21Co7
1.0
16.665 0.000 0.000
0.000 16.665 0.000
0.000 0.000 4.131
Ho Ga Co
12 42 14
Direct
0.088 0.158 0.000 Ho
0.107 0.607 0.500 Ho
0.158 0.912 0.000 Ho
0.342 0.412 0.000 Ho
0.393 0.107 0.500 Ho
0.412 0.658 0.000 Ho
0.588 0.342 0.000 Ho
0.607 0.893 0.500 Ho
0.658 0.588 0.000 Ho
0.842 0.088 0.000 Ho
0.893 0.393 0.500 Ho
0.912 0.842 0.000 Ho
0.000 0.500 0.000 Ga
0.031 0.890 0.500 Ga
0.041 0.271 0.500 Ga
0.075 0.740 0.000 Ga
0.076 0.424 0.500 Ga
0.110 0.031 0.500 Ga
0.179 0.790 0.500 Ga
0.180 0.320 0.000 Ga
0.210 0.179 0.500 Ga
0.229 0.459 0.500 Ga
0.240 0.575 0.000 Ga
0.260 0.075 0.000 Ga
0.271 0.959 0.500 Ga
0.290 0.679 0.500 Ga
0.320 0.820 0.000 Ga
0.321 0.290 0.500 Ga
0.390 0.531 0.500 Ga
0.424 0.924 0.500 Ga
0.425 0.240 0.000 Ga
0.459 0.771 0.500 Ga
0.469 0.390 0.500 Ga
0.500 0.000 0.000 Ga
0.531 0.610 0.500 Ga
0.541 0.229 0.500 Ga
0.575 0.760 0.000 Ga
0.576 0.076 0.500 Ga
0.610 0.469 0.500 Ga
0.679 0.710 0.500 Ga
0.680 0.180 0.000 Ga
0.710 0.321 0.500 Ga
0.729 0.041 0.500 Ga
0.740 0.925 0.000 Ga
0.760 0.425 0.000 Ga
0.771 0.541 0.500 Ga
0.790 0.821 0.500 Ga
0.820 0.680 0.000 Ga
0.821 0.210 0.500 Ga
0.890 0.969 0.500 Ga
0.924 0.576 0.500 Ga
0.925 0.260 0.000 Ga
0.959 0.729 0.500 Ga
0.969 0.110 0.500 Ga
0.000 0.000 0.000 Co
0.036 0.351 0.000 Co
0.149 0.464 0.000 Co
0.219 0.719 0.000 Co
0.281 0.219 0.000 Co
0.351 0.964 0.000 Co
0.464 0.851 0.000 Co
0.500 0.500 0.000 Co
0.536 0.149 0.000 Co
0.649 0.036 0.000 Co
0.719 0.781 0.000 Co
0.781 0.281 0.000 Co
0.851 0.536 0.000 Co
0.964 0.649 0.000 Co
```

=====

This record from the Materials Project describes CaSn2O4 after structural relaxation. The functional is PBE.

- SG: Cm
- Energy relative to the elements: -2.2874 eV/atom

Structure (POSCAR):
```
CaSn2O4
1.0
5.936 -3.190 0.000
5.936 3.190 0.000
-1.499 0.000 17.721
Ca Sn O
6 12 24
Direct
0.000 0.000 0.000 Ca
0.170 0.170 0.835 Ca
0.337 0.337 0.668 Ca
0.502 0.502 0.128 Ca
0.505 0.505 0.502 Ca
0.674 0.674 0.337 Ca
0.002 0.499 0.002 Sn
0.170 0.170 0.457 Sn
0.173 0.173 0.215 Sn
0.175 0.673 0.334 Sn
0.337 0.837 0.668 Sn
0.499 0.002 0.002 Sn
0.504 0.504 0.879 Sn
0.673 0.175 0.334 Sn
0.834 0.834 0.792 Sn
0.837 0.337 0.668 Sn
0.838 0.838 0.159 Sn
0.840 0.840 0.545 Sn
0.024 0.512 0.268 O
0.026 0.026 0.733 O
0.136 0.664 0.075 O
0.153 0.153 0.608 O
0.184 0.184 0.060 O
0.193 0.681 0.593 O
0.314 0.314 0.937 O
0.331 0.816 0.410 O
0.345 0.858 0.926 O
0.368 0.368 0.399 O
0.482 0.993 0.743 O
0.493 0.493 0.268 O
0.512 0.024 0.268 O
0.521 0.521 0.728 O
0.649 0.649 0.604 O
0.664 0.136 0.075 O
0.680 0.680 0.067 O
0.681 0.193 0.593 O
0.814 0.814 0.942 O
0.816 0.331 0.410 O
0.858 0.345 0.926 O
0.859 0.859 0.394 O
0.992 0.992 0.273 O
0.993 0.482 0.743 O
```

=====

This record from the Materials Project describes TlP3 after structural relaxation. The functional is PBE.

- SG: R3m
- Energy relative to the elements: 0.2870 eV/atom

Structure (POSCAR):
```
TlP3
1.0
2.158 1.246 5.926
-2.158 1.246 5.926
0.000 -2.492 5.926
Tl P
1 3
Direct
0.000 0.000 0.000 Tl
0.384 0.384 0.384 P
0.507 0.507 0.507 P
0.851 0.851 0.851 P
```

=====

This record from the Materials Project describes Rb2Ba8LiSb6O2 after structural relaxation. The functional is PBE.

- SG: P1
- Energy relative to the elements: -1.2642 eV/atom

Structure (POSCAR):
```
Rb2Ba8LiSb6O2
1.0
9.200 0.000 0.000
-0.159 9.334 0.000
-4.425 -4.267 8.263
Rb Ba Li Sb O
2 8 1 6 2
Direct
0.000 0.000 0.000 Rb
0.432 0.425 0.909 Rb
0.182 0.975 0.681 Ba
0.295 0.792 0.290 Ba
0.483 0.307 0.292 Ba
0.504 0.689 0.691 Ba
0.689 0.199 0.692 Ba
0.840 0.061 0.336 Ba
0.984 0.528 0.712 Ba
0.998 0.493 0.303 Ba
0.663 0.712 0.182 Li
0.112 0.369 0.994 Sb
0.250 0.244 0.484 Sb
0.407 0.875 0.017 Sb
0.605 0.102 0.990 Sb
0.744 0.756 0.491 Sb
0.847 0.635 0.010 Sb
0.244 0.739 0.494 O
0.750 0.281 0.508 O
```

=====

This record from the Materials Project describes Nd3Au after structural relaxation. The functional is PBE.

- SG: P6_3/mmc
- Energy relative to the elements: -0.2244 eV/atom

Structure (POSCAR):
```
Nd3Au
1.0
7.059 0.000 0.000
-3.530 6.114 0.000
0.000 0.000 5.361
Nd Au
6 2
Direct
0.177 0.354 0.250 Nd
0.177 0.823 0.250 Nd
0.354 0.177 0.750 Nd
0.646 0.823 0.250 Nd
0.823 0.177 0.750 Nd
0.823 0.646 0.750 Nd
0.333 0.667 0.750 Au
0.667 0.333 0.250 Au
```

=====

This record from the Materials Project describes Sm6MgSb10O24 after structural relaxation. The functional is PBE.

- SG: I-43m
- Energy relative to the elements: -2.5054 eV/atom

Structure (POSCAR):
```
Sm6MgSb10O24
1.0
-5.578 5.578 5.578
5.578 -5.578 5.578
5.578 5.578 -5.578
Sm Mg Sb O
6 1 10 24
Direct
0.250 0.500 0.750 Sm
0.250 0.750 0.500 Sm
0.500 0.250 0.750 Sm
0.500 0.750 0.250 Sm
0.750 0.250 0.500 Sm
0.750 0.500 0.250 Sm
0.000 0.000 0.000 Mg
0.000 0.000 0.506 Sb
0.000 0.289 0.289 Sb
0.000 0.506 0.000 Sb
0.000 0.711 0.711 Sb
0.289 0.000 0.289 Sb
0.289 0.289 0.000 Sb
0.494 0.494 0.494 Sb
0.506 0.000 0.000 Sb
0.711 0.000 0.711 Sb
0.711 0.711 0.000 Sb
0.000 0.199 0.474 O
0.000 0.474 0.199 O
0.000 0.502 0.705 O
0.000 0.705 0.502 O
0.199 0.000 0.474 O
0.199 0.474 0.000 O
0.203 0.498 0.498 O
0.276 0.801 0.801 O
0.295 0.295 0.797 O
0.295 0.797 0.295 O
0.474 0.000 0.199 O
0.474 0.199 0.000 O
0.498 0.203 0.498 O
0.498 0.498 0.203 O
0.502 0.000 0.705 O
0.502 0.705 0.000 O
0.526 0.526 0.724 O
0.526 0.724 0.526 O
0.705 0.000 0.502 O
0.705 0.502 0.000 O
0.724 0.526 0.526 O
0.797 0.295 0.295 O
0.801 0.276 0.801 O
0.801 0.801 0.276 O
```

=====

This record from the Materials Project describes CuH8C6N6O2 after structural relaxation. The functional is PBE.

- SG: C2/m
- Energy relative to the elements: -0.0755 eV/atom

Structure (POSCAR):
```
CuH8C6N6O2
1.0
6.473 -3.614 0.000
6.473 3.614 0.000
-3.029 0.000 5.876
Cu H C N O
1 8 6 6 2
Direct
0.000 0.000 0.000 Cu
0.061 0.310 0.602 H
0.257 0.257 0.296 H
0.310 0.061 0.602 H
0.316 0.316 0.662 H
0.684 0.684 0.338 H
0.690 0.939 0.398 H
0.743 0.743 0.704 H
0.939 0.690 0.398 H
0.221 0.221 0.559 C
0.263 0.573 0.172 C
0.427 0.737 0.828 C
0.573 0.263 0.172 C
0.737 0.427 0.828 C
0.779 0.779 0.441 C
0.144 0.752 0.139 N
0.248 0.856 0.861 N
0.381 0.381 0.211 N
0.619 0.619 0.789 N
0.752 0.144 0.139 N
0.856 0.248 0.861 N
0.189 0.189 0.321 O
0.811 0.811 0.679 O
```

=====

This record from the Materials Project describes La2U2Se9 after structural relaxation. The functional is PBE.

- SG: Pmma
- Energy relative to the elements: -1.6951 eV/atom

Structure (POSCAR):
```
La2U2Se9
1.0
10.826 0.000 0.000
0.000 5.581 0.000
0.000 0.000 10.710
La U Se
4 4 18
Direct
0.250 0.000 0.027 La
0.250 0.000 0.573 La
0.750 0.000 0.427 La
0.750 0.000 0.973 La
0.008 0.500 0.253 U
0.492 0.500 0.253 U
0.508 0.500 0.747 U
0.992 0.500 0.747 U
0.000 0.252 0.500 Se
0.000 0.748 0.500 Se
0.053 0.000 0.809 Se
0.124 0.500 0.001 Se
0.250 0.251 0.286 Se
0.250 0.500 0.685 Se
0.250 0.749 0.286 Se
0.376 0.500 0.001 Se
0.447 0.000 0.809 Se
0.500 0.252 0.500 Se
0.500 0.748 0.500 Se
0.553 0.000 0.191 Se
0.624 0.500 0.999 Se
0.750 0.251 0.714 Se
0.750 0.500 0.315 Se
0.750 0.749 0.714 Se
0.876 0.500 0.999 Se
0.947 0.000 0.191 Se
```

=====

Total energy, respectively: -314.61; -258.48; -17.45; -76.54; -36.95; -276.19; -146.89; -163.41 eV for the cell shown.